Crystalline Li2MgTi3O8 at its relaxed geometry, computed with PBE.

The value obtained for the electronic total energy is -7.71 eV per atom. The relative energy among the computed polymorphs comes out at 38 meV/atom. Its energy of formation is -3.2005 eV per atom.

Lattice parameters (Å, degrees): 5.9735 5.9735 5.9735 60.07 60.07 60.07
Fractional positions:
Li (0.0000, 0.0000, 0.0000)
Li (0.3805, 0.3805, 0.3805)
Mg (0.7611, 0.7611, 0.7611)
Ti (0.3781, 0.3781, 0.8851)
Ti (0.3781, 0.8851, 0.3781)
Ti (0.8851, 0.3781, 0.3781)
O (0.1304, 0.1304, 0.5877)
O (0.1304, 0.5877, 0.1304)
O (0.1388, 0.1388, 0.1388)
O (0.1675, 0.6270, 0.6270)
O (0.5877, 0.1304, 0.1304)
O (0.6219, 0.6219, 0.6219)
O (0.6270, 0.1675, 0.6270)
O (0.6270, 0.6270, 0.1675)

Crystalline LiMg30TiO32 at its relaxed geometry, computed with PBE.

The value obtained for the electronic total energy is -6.07 eV per atom. Its energy of formation is -3.0361 eV per atom.

Lattice parameters (Å, degrees): 8.5192 8.5192 8.5055 90.00 90.00 90.00
Fractional positions:
Li (0.0000, 0.0000, 0.0000)
Mg (0.0000, 0.2508, 0.2446)
Mg (0.0000, 0.2508, 0.7554)
Mg (0.0000, 0.5000, 0.0000)
Mg (0.0000, 0.5000, 0.5000)
Mg (0.0000, 0.7492, 0.2446)
Mg (0.0000, 0.7492, 0.7554)
Mg (0.2473, 0.2473, 0.0000)
Mg (0.2473, 0.7527, 0.0000)
Mg (0.2501, 0.5000, 0.2489)
Mg (0.2501, 0.5000, 0.7511)
Mg (0.2508, 0.0000, 0.2446)
Mg (0.2508, 0.0000, 0.7554)
Mg (0.2512, 0.2512, 0.5000)
Mg (0.2512, 0.7488, 0.5000)
Mg (0.5000, 0.0000, 0.0000)
Mg (0.5000, 0.0000, 0.5000)
Mg (0.5000, 0.2501, 0.2489)
Mg (0.5000, 0.2501, 0.7511)
Mg (0.5000, 0.5000, 0.0000)
Mg (0.5000, 0.5000, 0.5000)
Mg (0.5000, 0.7499, 0.2489)
Mg (0.5000, 0.7499, 0.7511)
Mg (0.7492, 0.0000, 0.2446)
Mg (0.7492, 0.0000, 0.7554)
Mg (0.7488, 0.2512, 0.5000)
Mg (0.7488, 0.7488, 0.5000)
Mg (0.7499, 0.5000, 0.2489)
Mg (0.7499, 0.5000, 0.7511)
Mg (0.7527, 0.2473, 0.0000)
Mg (0.7527, 0.7527, 0.0000)
Ti (0.0000, 0.0000, 0.5000)
O (0.0000, 0.0000, 0.2648)
O (0.0000, 0.0000, 0.7352)
O (0.0000, 0.2497, 0.5000)
O (0.0000, 0.2544, 0.0000)
O (0.0000, 0.5000, 0.2516)
O (0.0000, 0.5000, 0.7484)
O (0.0000, 0.7456, 0.0000)
O (0.0000, 0.7503, 0.5000)
O (0.2494, 0.2494, 0.2508)
O (0.2494, 0.2494, 0.7492)
O (0.2494, 0.7506, 0.2508)
O (0.2494, 0.7506, 0.7492)
O (0.2497, 0.0000, 0.5000)
O (0.2505, 0.5000, 0.0000)
O (0.2498, 0.5000, 0.5000)
O (0.2544, 0.0000, 0.0000)
O (0.5000, 0.0000, 0.2516)
O (0.5000, 0.0000, 0.7484)
O (0.5000, 0.2505, 0.0000)
O (0.5000, 0.2498, 0.5000)
O (0.5000, 0.5000, 0.2507)
O (0.5000, 0.5000, 0.7493)
O (0.5000, 0.7495, 0.0000)
O (0.5000, 0.7502, 0.5000)
O (0.7456, 0.0000, 0.0000)
O (0.7503, 0.0000, 0.5000)
O (0.7495, 0.5000, 0.0000)
O (0.7502, 0.5000, 0.5000)
O (0.7506, 0.2494, 0.2508)
O (0.7506, 0.2494, 0.7492)
O (0.7506, 0.7506, 0.2508)
O (0.7506, 0.7506, 0.7492)